1.
A geometry-optimized MgFeP2O7 structure, computed with PBE+U.

Unit cell a=7.0780 b=8.4934 c=9.2146 alpha=90.00 beta=112.67 gamma=90.00
Space group P2_1/c (No. 14)
Unique sites:
Mg 0.1953 0.0600 0.3188
Fe 0.2663 0.0688 0.8914
P 0.0326 0.7257 0.9685
P 0.4385 0.7352 0.2576
O 0.0100 0.0915 0.6509
O 0.0472 0.6126 0.3963
O 0.1225 0.2320 0.4512
O 0.2497 0.6767 0.0999
O 0.3802 0.2391 0.2960
O 0.3861 0.6088 0.8106
O 0.4697 0.6009 0.3772

Calculated values
* formation enthalpy at 0 K: -236 kJ per mole of atoms
* spin magnetization: 0.00 μB/cell
* crystal system: monoclinic
* offset from the most stable computed form: 234 meV/atom

2.
A geometry-optimized Ba2LiNi2O4 structure, computed with PBE+U.

Unit cell a=10.0027 b=5.6923 c=5.3656 alpha=90.00 beta=108.34 gamma=90.00
Space group C2/m (No. 12)
Unique sites:
Ba 0.1835 0.0000 0.1622
Li 0.0000 0.0000 0.5000
Ni 0.0000 0.5000 0.0000
Ni 0.0000 0.5000 0.5000
O 0.0669 0.2648 0.7632

Calculated values
* formation enthalpy at 0 K: -166 kJ per mole of atoms
* spin magnetization: 2.00 μB/cell
* crystal system: monoclinic
* offset from the most stable computed form: 0 meV/atom

3.
A geometry-optimized LiZn2Fe4O8 structure, computed with PBE+U.

Unit cell a=6.1249 b=6.1403 c=8.8817 alpha=90.00 beta=90.00 gamma=90.00
Space group Imm2 (No. 44)
Unique sites:
Li 0.0000 0.0000 0.0000
Zn 0.2364 0.5000 0.9088
Fe 0.0000 0.0000 0.7533
Fe 0.0000 0.2659 0.1787
Fe 0.0000 0.5000 0.5329
O 0.0000 0.2433 0.4045
O 0.0000 0.2617 0.9168
O 0.2161 0.5000 0.1533
O 0.2252 0.0000 0.1541

Calculated values
* formation enthalpy at 0 K: -150 kJ per mole of atoms
* spin magnetization: 38.00 μB/cell
* crystal system: orthorhombic
* offset from the most stable computed form: 62 meV/atom

4.
A geometry-optimized Li9Mn7O16 structure, computed with PBE+U.

Unit cell a=5.0474 b=6.0569 c=10.1992 alpha=103.60 beta=100.17 gamma=93.03
Space group P-1 (No. 2)
Unique sites:
Li 0.0000 0.0000 0.0000
Li 0.2435 0.8787 0.2445
Li 0.2452 0.3692 0.2467
Li 0.2469 0.3792 0.7533
Li 0.2469 0.8719 0.7520
Mn 0.0000 0.0000 0.5000
Mn 0.0000 0.5000 0.0000
Mn 0.0000 0.5000 0.5000
Mn 0.5003 0.2412 0.9994
Mn 0.4998 0.2499 0.4998
O 0.1312 0.2242 0.8949
O 0.1360 0.6792 0.8868
O 0.1375 0.1740 0.3808
O 0.1388 0.6754 0.3834
O 0.3603 0.0754 0.6167
O 0.3619 0.5741 0.6168
O 0.3627 0.5622 0.1112
O 0.3963 0.0578 0.1155

Calculated values
* formation enthalpy at 0 K: -206 kJ per mole of atoms
* spin magnetization: 26.00 μB/cell
* crystal system: triclinic
* offset from the most stable computed form: 10 meV/atom